## CoPt3 (PBE-GGA)

Data for a geometry-optimized CoPt3 structure.

## Properties
As for the calculated formation energy: -54 meV/atom. For the theoretical density, the calculation gives 18.18 g/cm³.

Cell lengths 3.8898, 3.8898, 3.8898 Å; angles 90.00, 90.00, 90.00 degrees
With the nearest neighbours (Å) after each atom.
Space group Pm-3m (No. 221)
One atom of each set of equivalent atoms:
Co 0.0000 0.0000 0.0000 x1  12 Pt 2.75
Pt 0.0000 0.5000 0.5000 x3  4 Co 2.75, 8 Pt 2.75